Run i
A relaxed MgFe10O9F11 crystal. Source: the Materials Project database, functional GGA+U.

```
31
Lattice="-3.994 -2.677 1.214 1.495 -2.850 -3.686 8.520 -8.471 9.518" Properties=species:S:1:pos:R:3 pbc="T T T"
Fe 6.477 -10.456 7.412
Fe 2.871 -6.758 3.601
Fe 6.453 -7.930 2.053
Fe 1.494 -2.869 -3.657
Fe 5.599 -7.940 5.040
Fe 0.869 -8.829 1.465
Fe 3.163 -4.536 -1.723
Fe -0.415 -3.630 -0.241
Fe 1.240 -5.243 1.664
Fe 6.854 -7.129 7.687
O 2.530 -4.920 3.181
O 6.678 -8.875 3.838
O 5.824 -8.683 6.983
O 0.910 -3.343 1.238
O -1.705 -3.912 -1.730
O -0.778 -1.705 -0.636
O -0.062 -5.556 0.226
O 1.656 -7.185 2.152
O 4.007 -6.773 5.132
F 3.784 -9.154 3.761
F 4.604 -6.811 2.168
F 2.900 -9.011 6.758
F 2.994 -5.276 0.191
F 4.820 -10.636 8.810
F 1.329 -3.659 -1.732
F -2.126 -3.613 1.300
F 1.168 -6.905 4.975
F -0.471 -5.231 3.231
F 8.164 -10.479 6.049
F 5.442 -10.952 5.571
Mg 4.002 -7.547 7.257
```

## Properties
symmetry	P1
volume	369.3	Å³/cell
magnetization	47.000	μB/f.u.

Run ii
A relaxed MgFe10O9F11 crystal. Source: the Materials Project database, functional GGA+U.

```
31
Lattice="-2.769 2.191 3.449 -3.699 -2.129 -2.391 1.310 -12.525 9.039" Properties=species:S:1:pos:R:3 pbc="T T T"
O -3.938 -4.950 4.369
O -1.619 -2.536 2.158
O -1.339 -4.935 3.903
O -1.131 -10.057 7.538
O -1.287 -7.466 5.597
O -1.819 -0.193 0.356
O -4.213 -2.504 2.588
O -4.506 -0.024 0.891
O -2.900 -10.084 5.256
F -2.613 -12.555 6.900
F -1.952 -7.549 8.578
F -2.854 -7.441 3.249
F -3.056 -5.097 1.439
F -1.547 -9.845 10.431
F -3.589 -9.847 8.011
F -3.756 -7.421 6.257
F -3.350 -2.642 -0.312
F -2.488 -2.402 5.096
F -2.221 -4.868 6.785
F -2.708 0.030 3.289
Mg -0.471 -8.882 8.954
Fe 0.694 -7.473 5.563
Fe -5.859 -4.986 4.705
Fe -2.465 -6.053 4.984
Fe 0.838 -9.964 7.230
Fe -1.992 -11.474 8.742
Fe -6.155 -2.491 2.901
Fe -6.417 -0.015 1.127
Fe -2.238 -8.820 6.489
Fe -2.796 -3.719 3.217
Fe -3.048 -1.285 1.498
```

## Properties
symmetry	P1
volume	372.0	Å³/cell
magnetization	47.004	μB/f.u.

Stability check: which of them is most stable? run i.

Run i
A relaxed MgFe12O12F12 crystal. Source: the Materials Project database, functional GGA+U.

```
37
Lattice="-4.856 -0.006 8.534 7.696 -11.246 5.032 2.108 1.980 1.201" Properties=species:S:1:pos:R:3 pbc="T T T"
Fe 3.493 -4.054 4.635
Fe 2.459 -7.544 8.122
Fe -2.546 -0.042 4.538
Fe -2.418 -3.545 10.090
Fe 1.280 -4.436 9.148
Fe 0.290 -7.342 11.596
Fe 3.927 -8.468 11.151
Fe 0.272 -3.846 5.864
Fe 6.829 -9.360 7.526
Fe -1.384 -0.709 7.681
Fe 1.170 -0.826 3.390
Fe -4.748 -0.163 8.604
F 2.954 -6.804 6.032
F 0.109 -6.160 9.965
F 4.856 -8.202 4.999
F 0.300 -2.053 6.940
F 4.611 -7.289 8.006
F -2.202 -2.680 8.284
F 2.296 -7.240 11.988
F 0.167 -2.666 4.102
F -0.242 -3.389 10.094
F 5.024 -5.596 4.489
F 2.760 -10.077 11.771
F -0.326 0.075 4.531
O -2.283 -1.252 6.072
O 7.929 -9.618 6.021
O -2.751 0.149 8.667
O 2.682 -5.759 8.870
O -0.013 -1.135 1.894
O 2.216 -3.485 5.938
O 2.711 -4.762 3.092
O 5.241 -10.342 7.852
O 5.334 -9.655 10.638
O 2.655 -1.974 2.675
O 2.680 -8.686 9.617
O 0.180 -4.805 7.607
Mg 4.988 -6.614 6.230
```

## Properties
symmetry	Pm
volume	446.2	Å³/cell
magnetization	57.682	μB/f.u.

Run ii
A relaxed MgFe12O12F12 crystal. Source: the Materials Project database, functional GGA+U.

```
37
Lattice="9.708 -0.174 0.000 -0.270 14.464 0.000 0.000 0.000 3.100" Properties=species:S:1:pos:R:3 pbc="T T T"
Fe 2.318 6.939 1.550
Fe 0.127 4.752 0.000
Fe 2.163 2.394 1.550
Fe 5.141 9.040 0.000
Fe 4.893 -0.011 0.000
Fe 9.597 0.149 0.000
Fe 7.148 2.144 1.550
Fe 4.747 4.897 0.000
Fe 6.995 11.845 1.550
Fe -0.104 9.563 0.000
Fe 1.804 12.583 1.550
Fe 7.109 6.844 1.550
F 8.763 5.513 1.550
F 3.279 8.072 0.000
F 1.192 11.234 0.000
F 8.337 7.793 0.000
F 3.732 10.726 1.550
F 8.035 3.304 0.000
F 7.805 12.928 0.000
F 1.027 8.682 1.550
F 3.902 0.941 1.550
F 8.582 10.522 1.550
F 3.331 3.290 0.000
F 5.626 3.684 1.550
O 3.846 5.687 1.550
O 0.864 3.842 1.550
O 6.229 1.336 0.000
O 8.655 0.975 1.550
O 6.038 8.365 1.550
O 6.381 5.921 0.000
O 0.335 13.654 1.550
O 1.375 6.259 0.000
O 6.175 10.954 0.000
O 5.264 13.176 1.550
O 1.506 1.465 0.000
O 2.932 13.110 0.000
Mg 4.383 11.766 0.000
```

## Properties
symmetry	Pm
volume	435.1	Å³/cell
magnetization	57.977	μB/f.u.

Run iii
A relaxed MgFe12O12F12 crystal. Source: the Materials Project database, functional GGA+U.

```
37
Lattice="-8.369 4.858 0.816 -7.601 -11.075 -5.528 -0.391 -1.151 2.843" Properties=species:S:1:pos:R:3 pbc="T T T"
F -10.860 -0.625 -0.064
F -9.064 1.426 -0.669
F -4.888 -0.831 -1.008
F -13.654 -5.890 -4.261
F -7.063 -4.625 -2.843
F -11.295 -2.154 -2.424
F -4.254 0.707 1.383
F -13.258 -4.400 -1.922
F -5.630 -6.734 -1.818
F -7.215 -7.780 -4.141
F -8.954 -6.649 -2.241
F -7.217 -0.620 0.439
Fe -10.058 -2.476 -0.703
Fe -2.716 -3.576 -1.821
Fe -11.763 -8.498 -5.057
Fe -0.565 0.023 -0.068
Fe -12.177 -6.073 -2.450
Fe -3.639 -1.294 0.657
Fe -9.103 -4.753 -3.175
Fe -5.879 -4.747 -1.048
Fe -8.834 -8.757 -3.077
Fe -7.871 1.274 1.115
Fe -5.123 -7.403 -3.701
Fe -6.866 -1.419 -1.518
O -6.628 -3.038 -0.459
O -2.430 -0.309 -0.459
O -8.788 -1.501 -1.816
O -9.820 -8.227 -4.680
O -12.178 -7.864 -3.176
O -9.519 -4.251 -1.348
O -4.549 -4.146 -2.304
O -10.996 -5.156 -3.598
O -3.194 -3.075 -0.002
O -6.187 2.515 0.168
O -8.492 3.171 1.798
O -8.239 -10.462 -3.686
Mg -14.159 -7.830 -3.434
```

## Properties
symmetry	Pm
volume	435.8	Å³/cell
magnetization	58.005	μB/f.u.

Stability check: which of them is most stable? run iii.